# 1
Entry from the Materials Project: a geometry-optimized PrCo12B6 structure (PBE).

```
data_PrCo12B6
_chemical_formula_sum 'Pr3 Co36 B18'
_cell_length_a 9.4293
_cell_length_b 9.4293
_cell_length_c 7.4552
_cell_angle_alpha 90.00
_cell_angle_beta 90.00
_cell_angle_gamma 120.00
_symmetry_space_group_name_H-M 'R -3 m'
_symmetry_Int_Tables_number 166
_symmetry_space_group_name_Hall '-R 3 2"'
loop_
_atom_site_label
_atom_site_fract_x
_atom_site_fract_y
_atom_site_fract_z
Pr1 0.0000 0.0000 0.0000
Co1 0.0000 0.3670 0.5000
Co2 0.0908 0.1815 0.3680
B1 0.0389 0.5195 0.2877
```

Results
The value obtained for the volume is 10.1 Å³/atom.

***

# 2
Entry from the Materials Project: a geometry-optimized Pr3Br structure (PBE).

```
data_Pr3Br
_chemical_formula_sum 'Pr6 Br2'
_cell_length_a 7.2164
_cell_length_b 7.2164
_cell_length_c 5.5978
_cell_angle_alpha 90.00
_cell_angle_beta 90.00
_cell_angle_gamma 120.00
_symmetry_space_group_name_H-M 'P 63/m m c'
_symmetry_Int_Tables_number 194
_symmetry_space_group_name_Hall '-P 6c 2c'
loop_
_atom_site_label
_atom_site_fract_x
_atom_site_fract_y
_atom_site_fract_z
Pr1 0.1695 0.3390 0.2500
Br1 0.3333 0.6667 0.7500
```

Results
The value obtained for the volume is 31.6 Å³/atom. The relative energy among the computed polymorphs is 0.4 kJ/mol of atoms. Its size of the total moment is 0.00 Bohr magnetons per cell.

***

# 3
Entry from the Materials Project: a geometry-optimized Na4As2O7 structure (PBE).

```
data_Na4As2O7
_chemical_formula_sum 'Na16 As8 O28'
_cell_length_a 6.055
_cell_length_b 10.287
_cell_length_c 12.528
_cell_angle_alpha 90.00
_cell_angle_beta 92.74
_cell_angle_gamma 90.00
_symmetry_space_group_name_H-M 'C 1 2/c 1'
_symmetry_Int_Tables_number 15
loop_
_symmetry_equiv_pos_as_xyz
'x,y,z'
'-x,-y,-z'
'-x,y,-z+1/2'
'x,-y,z+1/2'
'x+1/2,y+1/2,z'
'-x+1/2,-y+1/2,-z'
'-x+1/2,y+1/2,-z+1/2'
'x+1/2,-y+1/2,z+1/2'
loop_
_atom_site_label
_atom_site_fract_x
_atom_site_fract_y
_atom_site_fract_z
Na1 0.157 0.178 0.372
Na2 0.191 0.486 0.905
As1 0.144 0.152 0.861
O1 0.000 0.066 0.750
O2 0.066 0.178 0.556
O3 0.178 0.465 0.094
O4 0.233 0.212 0.186
```

Results
The value obtained for the volume is 15.0 Å³/atom.

***

# 4
Entry from the Materials Project: a geometry-optimized LiTiSiO4 structure (PBE).

```
data_LiTiSiO4
_chemical_formula_sum 'Li4 Ti4 Si4 O16'
_cell_length_a 5.679
_cell_length_b 5.801
_cell_length_c 8.075
_cell_angle_alpha 90.00
_cell_angle_beta 90.00
_cell_angle_gamma 90.00
_symmetry_space_group_name_H-M 'I m m a'
_symmetry_Int_Tables_number 74
_symmetry_space_group_name_Hall '-I 2b 2'
loop_
_atom_site_label
_atom_site_fract_x
_atom_site_fract_y
_atom_site_fract_z
Li1 0.000 0.000 0.000
Ti1 0.250 0.250 0.250
Si1 0.000 0.250 0.616
O1 0.000 0.016 0.738
O2 0.237 0.250 0.497
```

Results
The value obtained for the volume is 9.5 Å³/atom. The relative energy among the computed polymorphs is 1.0 kJ/mol of atoms. Its size of the total moment is 0.40 Bohr magnetons per cell.

***

# 5
Entry from the Materials Project: a geometry-optimized TiAs2 structure (PBE).

```
data_TiAs2
_chemical_formula_sum 'Ti8 As16'
_cell_length_a 8.575
_cell_length_b 15.357
_cell_length_c 3.536
_cell_angle_alpha 90.00
_cell_angle_beta 90.00
_cell_angle_gamma 90.00
_symmetry_space_group_name_H-M 'P n n m'
_symmetry_Int_Tables_number 58
loop_
_symmetry_equiv_pos_as_xyz
'x,y,z'
'-x,-y,-z'
'-x,-y,z'
'x,y,-z'
'x+1/2,-y+1/2,-z+1/2'
'-x+1/2,y+1/2,z+1/2'
'-x+1/2,y+1/2,-z+1/2'
'x+1/2,-y+1/2,z+1/2'
loop_
_atom_site_label
_atom_site_fract_x
_atom_site_fract_y
_atom_site_fract_z
Ti1 0.084 0.216 0.000
Ti2 0.158 0.518 0.500
As1 0.037 0.400 0.000
As2 0.102 0.919 0.000
As3 0.172 0.101 0.500
As4 0.218 0.767 0.000
```

Results
The value obtained for the volume is 19.4 Å³/atom. Its size of the total moment is 0.02 Bohr magnetons per cell.

***

# 6
Entry from the Materials Project: a geometry-optimized CsKMg30O31 structure (PBE).

```
data_CsKMg30O31
_chemical_formula_sum 'Cs1 K1 Mg30 O31'
_cell_length_a 8.651
_cell_length_b 8.786
_cell_length_c 8.850
_cell_angle_alpha 90.00
_cell_angle_beta 90.00
_cell_angle_gamma 90.00
_symmetry_space_group_name_H-M 'P m m 2'
_symmetry_Int_Tables_number 25
loop_
_symmetry_equiv_pos_as_xyz
'x,y,z'
'-x,-y,z'
'-x,y,z'
'x,-y,z'
loop_
_atom_site_label
_atom_site_fract_x
_atom_site_fract_y
_atom_site_fract_z
Cs1 0.000 0.000 0.000
K1 0.500 0.500 0.025
Mg1 0.000 0.000 0.515
Mg2 0.000 0.256 0.764
Mg3 0.000 0.261 0.280
Mg4 0.000 0.500 0.026
Mg5 0.000 0.500 0.527
Mg6 0.230 0.000 0.283
Mg7 0.244 0.500 0.279
Mg8 0.247 0.000 0.753
Mg9 0.248 0.500 0.779
Mg10 0.252 0.253 0.035
Mg11 0.252 0.255 0.523
Mg12 0.500 0.000 0.007
Mg13 0.500 0.000 0.545
Mg14 0.500 0.251 0.780
Mg15 0.500 0.273 0.275
Mg16 0.500 0.500 0.529
O1 0.000 0.000 0.301
O2 0.000 0.000 0.724
O3 0.000 0.255 0.523
O4 0.000 0.281 0.045
O5 0.000 0.500 0.294
O6 0.000 0.500 0.767
O7 0.230 0.500 0.027
O8 0.248 0.243 0.777
O9 0.250 0.500 0.531
O10 0.255 0.253 0.283
O11 0.263 0.000 0.515
O12 0.287 0.000 0.069
O13 0.500 0.000 0.772
O14 0.500 0.230 0.030
O15 0.500 0.241 0.522
O16 0.500 0.500 0.302
O17 0.500 0.500 0.753
```

Results
The value obtained for the volume is 10.7 Å³/atom. The relative energy among the computed polymorphs is 3.6 kJ/mol of atoms. Its size of the total moment is 0.00 Bohr magnetons per cell.

***

| no. | E_form (eV per atom) |
| --- | --- |
| 1 | -0.34 |
| 2 | -0.28 |
| 3 | -2.02 |
| 4 | -3.05 |
| 5 | -0.33 |
| 6 | -2.78 |